# 1
Entry from the Materials Project: a geometry-optimized BaMg2N2 structure (PBE).

The structure in POSCAR format:
```
BaMg2N2
1.0
-3.4449 3.4449 3.9753
3.4449 -3.4449 3.9753
3.4449 3.4449 -3.9753
Ba Mg N
2 4 4
Direct
0.2500 0.2500 0.0000
0.7500 0.7500 0.0000
0.1291 0.6291 0.7583
0.3709 0.1291 0.5000
0.6291 0.8709 0.5000
0.8709 0.3709 0.2417
0.1672 0.3328 0.5000
0.3328 0.8328 0.1656
0.6672 0.1672 0.8344
0.8328 0.6672 0.5000
```

The total energy is -4.80 eV per atom. The value obtained for the size of the total moment is 0.00 μB/cell. Its energy relative to the elements is -582 meV/atom.

---

# 2
Entry from the Materials Project: a geometry-optimized Na2Hf2Mg2SiS5O24 structure (PBE).

The structure in POSCAR format:
```
Na2Hf2Mg2SiS5O24
1.0
8.7780 0.0000 0.0000
-4.3804 7.6089 0.0000
-0.0111 -0.0279 23.1021
Na Hf Mg Si S O
6 6 6 3 15 72
Direct
0.0000 0.0000 0.0000
0.0029 0.0289 0.4979
0.3569 0.6952 0.3187
0.3610 0.6744 0.8401
0.6750 0.3393 0.1633
0.6877 0.3466 0.6647
0.0020 0.0022 0.8501
0.0034 0.0136 0.3430
0.3336 0.6682 0.6807
0.3433 0.6730 0.4726
0.6807 0.3568 0.0122
0.6897 0.3358 0.5127
0.0100 0.0095 0.1415
0.0102 0.0204 0.6412
0.3463 0.6812 0.1756
0.3554 0.6787 0.9768
0.6710 0.3294 0.3051
0.6740 0.3480 0.8118
0.0498 0.3748 0.5765
0.6623 0.6307 0.9066
0.6759 0.0502 0.4060
0.0068 0.7202 0.7413
0.0132 0.3086 0.2402
0.0587 0.6811 0.0767
0.3022 0.0104 0.2411
0.3062 0.2975 0.7420
0.3379 0.3832 0.0774
0.3397 0.9667 0.5775
0.3896 0.0520 0.9085
0.3901 0.3426 0.4083
0.6365 0.6784 0.5775
0.6375 0.9684 0.0773
0.7154 0.7135 0.2412
0.7206 0.0163 0.7425
0.9661 0.6348 0.4079
0.9694 0.3493 0.9085
0.0286 0.1848 0.5805
0.0297 0.8329 0.0825
0.0325 0.8296 0.7940
0.0334 0.2189 0.2946
0.1361 0.6535 0.1292
0.1408 0.5047 0.9176
0.1434 0.6535 0.4165
0.1479 0.5039 0.6331
0.1588 0.6993 0.0241
0.1683 0.4815 0.5203
0.1751 0.4811 0.2374
0.1763 0.7121 0.7378
0.1798 0.9754 0.5842
0.1844 0.2043 0.0837
0.1953 0.9905 0.2954
0.1974 0.2203 0.7945
0.2118 0.0281 0.1906
0.2130 0.1828 0.4027
0.2144 0.0461 0.9020
0.2184 0.1956 0.6900
0.3165 0.4640 0.0252
0.3192 0.8511 0.2381
0.3250 0.8629 0.5249
0.3263 0.4807 0.7365
0.3555 0.8735 0.9177
0.3624 0.4969 0.4157
0.3706 0.4907 0.1297
0.3755 0.8883 0.6293
0.4707 0.3227 0.4622
0.4725 0.1629 0.9610
0.4756 0.1715 0.2466
0.4812 0.3174 0.7467
0.4944 0.1280 0.8565
0.4957 0.1466 0.5711
0.4967 0.3735 0.3569
0.5005 0.3612 0.0706
0.5015 0.6637 0.9161
0.5075 0.8534 0.4178
0.5267 0.6580 0.6293
0.5315 0.8912 0.1298
0.5414 0.7005 0.2380
0.5429 0.8532 0.7374
0.5537 0.7054 0.5250
0.5551 0.8652 0.0252
0.6407 0.5130 0.5707
0.6465 0.1390 0.3514
0.6489 0.5241 0.8496
0.6572 0.1495 0.0703
0.6994 0.1701 0.7501
0.7003 0.5404 0.2504
0.7016 0.5427 0.9651
0.7076 0.1666 0.4666
0.8047 0.8263 0.2952
0.8051 0.9893 0.7950
0.8120 0.8292 0.5842
0.8160 0.9906 0.0835
0.8245 0.0349 0.6907
0.8247 0.7995 0.1907
0.8506 0.8293 0.9036
0.8531 0.0290 0.4027
0.8555 0.3116 0.9610
0.8567 0.3277 0.2475
0.8591 0.5421 0.7471
0.8592 0.5569 0.4616
0.8595 0.3722 0.5735
0.8765 0.5151 0.0712
0.8854 0.3639 0.8561
0.8850 0.5303 0.3566
0.9892 0.1966 0.1903
0.9895 0.8064 0.6896
0.9920 0.1893 0.9027
0.9928 0.8153 0.4030
```

The total energy is -6.85 eV per atom. The value obtained for the size of the total moment is 0.00 μB/cell. Its energy relative to the elements is -2572 meV/atom.

---

# 3
Entry from the Materials Project: a geometry-optimized CoB10H21C12 structure (PBE).

The structure in POSCAR format:
```
CoB10H21C12
1.0
7.5950 0.0000 0.0000
-2.0872 9.4476 0.0000
-1.9519 -3.5433 12.9590
Co B H C
2 20 42 24
Direct
0.1732 0.0624 0.2892
0.8268 0.9376 0.7108
0.0253 0.1342 0.7034
0.0256 0.7744 0.0863
0.0460 0.0924 0.8263
0.0783 0.7169 0.2865
0.0841 0.2776 0.8167
0.1221 0.6701 0.1624
0.1617 0.9533 0.1301
0.2018 0.8915 0.3716
0.3128 0.7842 0.2624
0.3728 0.9641 0.2166
0.6272 0.0359 0.7834
0.6872 0.2158 0.7376
0.7982 0.1085 0.6284
0.8383 0.0467 0.8699
0.8779 0.3299 0.8376
0.9159 0.7224 0.1833
0.9217 0.2831 0.7135
0.9540 0.9076 0.1737
0.9744 0.2256 0.9137
0.9747 0.8658 0.2966
0.0146 0.2359 0.1793
0.0382 0.2765 0.0036
0.0486 0.6241 0.3319
0.1319 0.5487 0.1246
0.1338 0.8424 0.6656
0.1375 0.1200 0.6504
0.1432 0.1923 0.4949
0.1746 0.0503 0.8577
0.1938 0.0190 0.0671
0.2079 0.5797 0.5566
0.2207 0.8985 0.4621
0.2334 0.3618 0.8420
0.2807 0.5493 0.7329
0.2857 0.6616 0.9872
0.3964 0.3704 0.1666
0.4033 0.8501 0.0074
0.4354 0.7271 0.2768
0.4530 0.6858 0.4718
0.4867 0.9776 0.8039
0.4943 0.7422 0.0811
0.4980 0.0148 0.3840
0.5020 0.9852 0.6160
0.5057 0.2578 0.9189
0.5133 0.0224 0.1961
0.5470 0.3142 0.5282
0.5646 0.2729 0.7232
0.5967 0.1499 0.9926
0.6036 0.6296 0.8334
0.7143 0.3384 0.0128
0.7193 0.4507 0.2671
0.7666 0.6382 0.1580
0.7793 0.1015 0.5379
0.7921 0.4203 0.4434
0.8062 0.9810 0.9329
0.8254 0.9497 0.1423
0.8568 0.8077 0.5051
0.8625 0.8800 0.3496
0.8662 0.1576 0.3344
0.8681 0.4513 0.8754
0.9514 0.3759 0.6681
0.9618 0.7235 0.9964
0.9854 0.7641 0.8207
0.0123 0.1966 0.3366
0.0906 0.2363 0.2535
0.1586 0.2138 0.4209
0.2537 0.8063 0.1260
0.2874 0.2905 0.2893
0.3297 0.2755 0.3935
0.3503 0.6183 0.5985
0.3662 0.7621 0.0455
0.3675 0.9622 0.3298
0.3921 0.6013 0.7005
0.4296 0.3537 0.2432
0.4855 0.6786 0.5511
0.5145 0.3214 0.4489
0.5704 0.6463 0.7568
0.6079 0.3987 0.2995
0.6325 0.0378 0.6702
0.6338 0.2379 0.9545
0.6497 0.3817 0.4015
0.6703 0.7245 0.6065
0.7126 0.7095 0.7107
0.7463 0.1937 0.8740
0.8414 0.7862 0.5791
0.9094 0.7637 0.7465
0.9877 0.8034 0.6634
```

The total energy is -5.88 eV per atom. The value obtained for the size of the total moment is 0.08 μB/cell. Its energy relative to the elements is -64 meV/atom.

---

# 4
Entry from the Materials Project: a geometry-optimized Na3P3HO9 structure (PBE).

The structure in POSCAR format:
```
Na3P3HO9
1.0
7.6365 0.0000 0.0000
0.0000 8.3387 0.0000
0.0000 0.0000 13.3771
Na P H O
12 12 4 36
Direct
0.0358 0.2500 0.2279
0.1818 0.0110 0.5809
0.1818 0.4890 0.5809
0.3182 0.5110 0.0809
0.3182 0.9890 0.0809
0.4642 0.7500 0.7279
0.5358 0.2500 0.2721
0.6818 0.0110 0.9191
0.6818 0.4890 0.9191
0.8182 0.5110 0.4191
0.8182 0.9890 0.4191
0.9642 0.7500 0.7721
0.0030 0.2500 0.9695
0.2384 0.0760 0.8368
0.2384 0.4240 0.8368
0.2616 0.5760 0.3368
0.2616 0.9240 0.3368
0.4970 0.7500 0.4695
0.5030 0.2500 0.5305
0.7384 0.0760 0.6632
0.7384 0.4240 0.6632
0.7616 0.5760 0.1632
0.7616 0.9240 0.1632
0.9970 0.7500 0.0305
0.0059 0.7500 0.5831
0.4941 0.2500 0.0831
0.5059 0.7500 0.9169
0.9941 0.2500 0.4169
0.0534 0.0982 0.8973
0.0534 0.4018 0.8973
0.1158 0.5556 0.4101
0.1158 0.9444 0.4101
0.1177 0.2500 0.0607
0.1922 0.7500 0.0218
0.2082 0.5488 0.7575
0.2082 0.9512 0.7575
0.2478 0.7500 0.2806
0.2522 0.2500 0.7806
0.2918 0.0488 0.2575
0.2918 0.4512 0.2575
0.3078 0.2500 0.5218
0.3823 0.7500 0.5607
0.3842 0.0556 0.9101
0.3842 0.4444 0.9101
0.4466 0.5982 0.3973
0.4466 0.9018 0.3973
0.5534 0.0982 0.6027
0.5534 0.4018 0.6027
0.6158 0.5556 0.0899
0.6158 0.9444 0.0899
0.6177 0.2500 0.4393
0.6922 0.7500 0.4782
0.7082 0.5488 0.7425
0.7082 0.9512 0.7425
0.7478 0.7500 0.2194
0.7522 0.2500 0.7194
0.7918 0.0488 0.2425
0.7918 0.4512 0.2425
0.8078 0.2500 0.9782
0.8823 0.7500 0.9393
0.8842 0.0556 0.5899
0.8842 0.4444 0.5899
0.9466 0.5982 0.1027
0.9466 0.9018 0.1027
```

The total energy is -6.19 eV per atom. The value obtained for the size of the total moment is 4.00 μB/cell. Its energy relative to the elements is -2323 meV/atom.

---

# 5
Entry from the Materials Project: a geometry-optimized Pr12Re5C15 structure (PBE).

The structure in POSCAR format:
```
Pr12Re5C15
1.0
11.0926 0.0000 0.0000
-5.5463 9.6065 0.0000
0.0000 0.0000 5.4023
Pr Re C
12 5 15
Direct
0.0000 0.4236 0.0000
0.0000 0.7956 0.0000
0.1875 0.7298 0.5000
0.2044 0.2044 0.0000
0.2702 0.4577 0.5000
0.4236 0.0000 0.0000
0.4577 0.2702 0.5000
0.5423 0.8125 0.5000
0.5764 0.5764 0.0000
0.7298 0.1875 0.5000
0.7956 0.0000 0.0000
0.8125 0.5423 0.5000
0.0000 0.1542 0.5000
0.1542 0.0000 0.5000
0.3333 0.6667 0.0000
0.6667 0.3333 0.0000
0.8458 0.8458 0.5000
0.0000 0.3290 0.5000
0.0000 0.4511 0.5000
0.0000 0.7951 0.5000
0.1928 0.7183 0.0000
0.2049 0.2049 0.5000
0.2817 0.4744 0.0000
0.3290 0.0000 0.5000
0.4511 0.0000 0.5000
0.4744 0.2817 0.0000
0.5256 0.8072 0.0000
0.5489 0.5489 0.5000
0.6710 0.6710 0.5000
0.7183 0.1928 0.0000
0.7951 0.0000 0.5000
0.8072 0.5256 0.0000
```

The total energy is -8.29 eV per atom. The value obtained for the size of the total moment is 0.00 μB/cell. Its energy relative to the elements is -223 meV/atom.

---

# 6
Entry from the Materials Project: a geometry-optimized Sm7Rh3 structure (PBE).

The structure in POSCAR format:
```
Sm7Rh3
1.0
5.0291 -8.7189 0.0000
5.0291 8.7189 0.0000
0.0000 0.0000 6.2624
Sm Rh
14 6
Direct
0.0419 0.5836 0.4999
0.0419 0.9581 0.5000
0.1667 0.8333 0.9834
0.2495 0.3748 0.6946
0.3748 0.2495 0.1946
0.3747 0.6253 0.1946
0.4164 0.9581 0.4999
0.5836 0.0419 0.9999
0.6253 0.3747 0.6946
0.6252 0.7505 0.6946
0.7505 0.6252 0.1946
0.8333 0.1667 0.4834
0.9581 0.0419 0.0000
0.9581 0.4164 0.9999
0.1235 0.3118 0.2657
0.3118 0.1235 0.7657
0.3117 0.6883 0.7661
0.6883 0.3117 0.2661
0.6882 0.8765 0.2657
0.8765 0.6882 0.7657
```

The total energy is -6.05 eV per atom. The value obtained for the size of the total moment is 0.00 μB/cell. Its energy relative to the elements is -537 meV/atom.

---

# 7
Entry from the Materials Project: a geometry-optimized Sm2Ga2Fe15C3 structure (PBE).

The structure in POSCAR format:
```
Sm2Ga2Fe15C3
1.0
4.3738 2.5252 4.2062
-4.3738 2.5252 4.2062
0.0000 -5.0504 4.2062
Sm Ga Fe C
2 2 15 3
Direct
0.1516 0.1516 0.1516
0.8484 0.8484 0.8484
0.3976 0.3976 0.3976
0.6024 0.6024 0.6024
0.0000 0.5000 0.5000
0.1561 0.1561 0.6463
0.1561 0.6463 0.1561
0.2149 0.5000 0.7851
0.2149 0.7851 0.5000
0.3537 0.8439 0.8439
0.5000 0.0000 0.5000
0.5000 0.2149 0.7851
0.5000 0.5000 0.0000
0.5000 0.7851 0.2149
0.6463 0.1561 0.1561
0.7851 0.2149 0.5000
0.7851 0.5000 0.2149
0.8439 0.3537 0.8439
0.8439 0.8439 0.3537
0.0000 0.0000 0.5000
0.0000 0.5000 0.0000
0.5000 0.0000 0.0000
```

The total energy is -7.84 eV per atom. The value obtained for the size of the total moment is 30.06 μB/cell. Its energy relative to the elements is -106 meV/atom.

---

# 8
Entry from the Materials Project: a geometry-optimized GaH13C4N2 structure (PBE).

The structure in POSCAR format:
```
GaH13C4N2
1.0
6.4331 0.0000 0.0000
1.6565 6.9721 0.0000
2.5048 0.7101 8.4538
Ga H C N
2 26 8 4
Direct
0.0481 0.0890 0.1251
0.9519 0.9110 0.8749
0.0929 0.2387 0.3930
0.1410 0.8378 0.4708
0.1590 0.5920 0.5457
0.1800 0.5353 0.0625
0.1881 0.2382 0.6700
0.2115 0.6375 0.2248
0.2150 0.3757 0.8135
0.2944 0.0773 0.1240
0.3478 0.7117 0.0282
0.3486 0.1281 0.8055
0.4517 0.7878 0.7722
0.4660 0.8428 0.5676
0.4780 0.6009 0.6516
0.5220 0.3991 0.3484
0.5340 0.1572 0.4324
0.5483 0.2122 0.2278
0.6514 0.8719 0.1945
0.6522 0.2883 0.9718
0.7056 0.9227 0.8760
0.7850 0.6243 0.1865
0.7885 0.3625 0.7752
0.8119 0.7618 0.3300
0.8200 0.4647 0.9375
0.8410 0.4080 0.4543
0.8590 0.1622 0.5292
0.9071 0.7613 0.6070
0.0882 0.7416 0.5786
0.1949 0.6694 0.1024
0.1984 0.2321 0.7930
0.3970 0.7523 0.6749
0.6030 0.2477 0.3251
0.8016 0.7679 0.2070
0.8051 0.3306 0.8976
0.9118 0.2584 0.4214
0.0005 0.8238 0.0946
0.1589 0.7793 0.7110
0.8411 0.2207 0.2890
0.9995 0.1762 0.9054
```

The total energy is -5.16 eV per atom. The value obtained for the size of the total moment is 0.00 μB/cell. Its energy relative to the elements is -157 meV/atom.

---

What did the first record say?
Entry from the Materials Project: a geometry-optimized BaMg2N2 structure (PBE).

The structure in POSCAR format:
```
BaMg2N2
1.0
-3.4449 3.4449 3.9753
3.4449 -3.4449 3.9753
3.4449 3.4449 -3.9753
Ba Mg N
2 4 4
Direct
0.2500 0.2500 0.0000
0.7500 0.7500 0.0000
0.1291 0.6291 0.7583
0.3709 0.1291 0.5000
0.6291 0.8709 0.5000
0.8709 0.3709 0.2417
0.1672 0.3328 0.5000
0.3328 0.8328 0.1656
0.6672 0.1672 0.8344
0.8328 0.6672 0.5000
```

The total energy is -4.80 eV per atom. The value obtained for the size of the total moment is 0.00 μB/cell. Its energy relative to the elements is -582 meV/atom.

---

Q: What is the total energy in the first record?
A: -4.80 eV per atom